Record 1
This record from the Materials Project describes an optimized crystal structure of CaMg6BiO8. The functional is GGA-PBE. Values from VASP.

Cell and atoms, written as Quantum ESPRESSO input:
```
&SYSTEM
  ibrav = 0, nat = 16, ntyp = 4
/
ATOMIC_SPECIES
Mg 24.30 Mg.upf
O 16.00 O.upf
Bi 208.98 Bi.upf
Ca 40.08 Ca.upf
CELL_PARAMETERS angstrom
-4.421 4.816 -6.301
-3.658 -2.761 0.456
-1.674 2.760 3.284
ATOMIC_POSITIONS crystal
Mg 0.240 0.500 0.000
Mg 0.760 0.000 0.500
Mg 0.760 0.500 0.000
Mg 0.000 0.500 0.500
Mg 0.240 0.000 0.500
Mg 0.500 0.500 0.500
O 0.250 0.500 0.500
O 0.757 0.000 0.000
O 0.750 0.500 0.500
O 0.500 0.500 0.000
O 0.500 0.000 0.500
O 0.000 0.000 0.500
O 0.000 0.500 0.000
O 0.243 0.000 0.000
Bi 0.500 0.000 0.000
Ca 0.000 0.000 0.000
```

Values from the calculation:
Relative energy among the computed polymorphs in meV/atom: 51
ΔH_f (0 K) in eV/atom: -2.516

=====

Record 2
This record from the Materials Project describes an optimized crystal structure of Ca14MnBi11. The functional is GGA-PBE. Values from VASP.

Cell and atoms, written as Quantum ESPRESSO input:
```
&SYSTEM
  ibrav = 0, nat = 104, ntyp = 3
/
ATOMIC_SPECIES
Ca 40.08 Ca.upf
Bi 208.98 Bi.upf
Mn 54.94 Mn.upf
CELL_PARAMETERS angstrom
-8.606 8.606 11.297
8.606 -8.606 11.297
8.606 8.606 -11.297
ATOMIC_POSITIONS crystal
Ca 0.355 0.751 0.351
Ca 0.162 0.379 0.135
Ca 0.539 0.377 0.481
Ca 0.749 0.145 0.649
Ca 0.396 0.877 0.838
Ca 0.442 0.604 0.481
Ca 0.277 0.994 0.365
Ca 0.501 0.650 0.897
Ca 0.308 0.646 0.019
Ca 0.625 0.521 0.396
Ca 0.753 0.605 0.103
Ca 0.855 0.503 0.603
Ca 0.850 0.999 0.103
Ca 0.808 0.789 0.662
Ca 0.271 0.375 0.396
Ca 0.127 0.146 0.338
Ca 0.711 0.692 0.338
Ca 0.479 0.875 0.104
Ca 0.121 0.338 0.865
Ca 0.006 0.371 0.283
Ca 0.896 0.058 0.519
Ca 0.854 0.192 0.981
Ca 0.621 0.756 0.783
Ca 0.088 0.723 0.717
Ca 0.244 0.027 0.865
Ca 0.253 0.150 0.149
Ca 0.997 0.645 0.397
Ca 0.249 0.600 0.603
Ca 0.350 0.247 0.851
Ca 0.400 0.003 0.649
Ca 0.395 0.499 0.149
Ca 0.001 0.105 0.851
Ca 0.629 0.912 0.635
Ca 0.473 0.256 0.135
Ca 0.039 0.558 0.162
Ca 0.627 0.289 0.981
Ca 0.123 0.961 0.519
Ca 0.623 0.104 0.162
Ca 0.744 0.879 0.217
Ca 0.942 0.461 0.838
Ca 0.895 0.747 0.897
Ca 0.506 0.223 0.635
Ca 0.588 0.871 0.365
Ca 0.979 0.875 0.604
Ca 0.354 0.373 0.662
Ca 0.771 0.375 0.896
Ca 0.497 0.100 0.351
Ca 0.211 0.873 0.019
Ca 0.129 0.494 0.717
Ca 0.900 0.251 0.397
Ca 0.125 0.229 0.604
Ca 0.973 0.838 0.217
Ca 0.662 0.527 0.783
Ca 0.125 0.729 0.104
Ca 0.625 0.021 0.896
Ca 0.777 0.412 0.283
Bi 0.355 0.208 0.408
Bi 0.181 0.827 0.634
Bi 0.057 0.923 0.854
Bi 0.137 0.363 0.500
Bi 0.000 0.500 0.500
Bi 0.953 0.307 0.634
Bi 0.797 0.943 0.866
Bi 0.569 0.423 0.866
Bi 0.453 0.819 0.646
Bi 0.887 0.613 0.000
Bi 0.553 0.699 0.408
Bi 0.693 0.327 0.646
Bi 0.613 0.887 0.000
Bi 0.458 0.105 0.908
Bi 0.863 0.637 0.500
Bi 0.855 0.447 0.147
Bi 0.449 0.542 0.647
Bi 0.197 0.551 0.092
Bi 0.681 0.047 0.354
Bi 0.250 0.250 0.000
Bi 0.557 0.703 0.134
Bi 0.801 0.947 0.592
Bi 0.297 0.431 0.854
Bi 0.958 0.051 0.353
Bi 0.637 0.137 0.775
Bi 0.697 0.605 0.647
Bi 0.363 0.863 0.225
Bi 0.895 0.803 0.353
Bi 0.301 0.708 0.853
Bi 0.292 0.145 0.592
Bi 0.949 0.303 0.908
Bi 0.500 0.000 0.500
Bi 0.792 0.199 0.147
Bi 0.577 0.443 0.146
Bi 0.193 0.547 0.366
Bi 0.673 0.319 0.366
Bi 0.173 0.807 0.354
Bi 0.053 0.645 0.853
Bi 0.077 0.931 0.134
Bi 0.113 0.113 0.725
Bi 0.395 0.042 0.092
Bi 0.069 0.203 0.146
Bi 0.750 0.750 0.000
Bi 0.387 0.387 0.275
Mn 0.250 0.750 0.500
Mn 0.000 0.000 0.000
Mn 0.750 0.250 0.500
Mn 0.500 0.500 0.000
```

Values from the calculation:
ΔH_f (0 K) in eV/atom: -0.808